Record 1
Computed, not measured: a relaxed Ce2B2Ir5 crystal at the PBE level of DFT.

abc: 11.051 11.051 11.051
angles: 28.87 28.87 28.87
Fractional coordinates of all 18 atoms:
Ce (0.848, 0.848, 0.848)
Ce (0.949, 0.949, 0.949)
B (0.618, 0.618, 0.618)
B (0.717, 0.717, 0.717)
Ir (0.500, 0.000, 0.500)
Ir (0.406, 0.406, 0.899)
B (0.382, 0.382, 0.382)
Ir (0.899, 0.406, 0.406)
Ir (0.101, 0.594, 0.594)
Ce (0.051, 0.051, 0.051)
Ce (0.152, 0.152, 0.152)
Ir (0.500, 0.500, 0.500)
Ir (0.406, 0.899, 0.406)
Ir (0.594, 0.101, 0.594)
B (0.283, 0.283, 0.283)
Ir (0.594, 0.594, 0.101)
Ir (0.500, 0.500, 0.000)
Ir (0.000, 0.500, 0.500)

Record 2
Computed, not measured: a relaxed Ce2B4Ir3Rh3 crystal at the PBE level of DFT.

abc: 3.102 5.518 9.551
angles: 89.99 90.00 90.00
Fractional coordinates of all 12 atoms:
B (0.000, 0.500, 0.834)
Ir (0.500, 0.500, 0.000)
Ce (0.000, 0.500, 0.500)
B (0.000, 0.500, 0.167)
Rh (0.500, 0.250, 0.750)
Ir (0.500, 0.000, 0.500)
B (0.000, 0.000, 0.333)
Rh (0.500, 0.750, 0.250)
Ce (0.000, 0.000, 0.000)
Ir (0.500, 0.250, 0.250)
Rh (0.500, 0.750, 0.750)
B (0.000, 0.000, 0.666)

Record 3
Computed, not measured: a relaxed CeSiBIr3 crystal at the PBE level of DFT.

abc: 5.542 5.542 3.485
angles: 90.00 90.00 120.00
Fractional coordinates of all 6 atoms:
B (0.000, 0.000, 0.000)
Ce (0.667, 0.333, 0.000)
Ir (0.679, 0.840, 0.500)
Ir (0.160, 0.840, 0.500)
Si (0.333, 0.667, 0.000)
Ir (0.160, 0.321, 0.500)

Record 4
Computed, not measured: a relaxed LaCeB12 crystal at the PBE level of DFT.

abc: 5.854 5.854 5.854
angles: 60.00 60.00 60.00
Fractional coordinates of all 14 atoms:
B (0.600, 0.900, 0.600)
B (0.600, 0.600, 0.900)
La (0.500, 0.500, 0.500)
B (0.600, 0.900, 0.900)
B (0.100, 0.400, 0.100)
B (0.400, 0.400, 0.100)
B (0.100, 0.400, 0.400)
B (0.400, 0.100, 0.400)
B (0.400, 0.100, 0.100)
B (0.900, 0.900, 0.600)
Ce (0.000, 0.000, 0.000)
B (0.900, 0.600, 0.600)
B (0.100, 0.100, 0.400)
B (0.900, 0.600, 0.900)

no.,energy of formation from the pure elements (eV/atom)
1,-0.76
2,-0.68
3,-0.72
4,-0.54